(1)
The following is a GGA-PBE calculation of a relaxed structure of PbI2, from the Materials Project database.

a = 15.382 Å, b = 15.382 Å, c = 15.382 Å
α = 17.48°, β = 17.48°, γ = 17.48°
Sites, in units of the cell vectors:
1 Pb 0.083 0.083 0.083
2 Pb 0.917 0.917 0.917
3 I 0.209 0.209 0.209
4 I 0.375 0.375 0.375
5 I 0.625 0.625 0.625
6 I 0.791 0.791 0.791

Summary:
Energy = -8.76 eV per formula unit
ΔE_f = -0.919 eV/atom
Energy with MP2020 corrections = -3.172 eV per atom

(2)
The following is a GGA-PBE calculation of a relaxed structure of SbPb2S2I3, from the Materials Project database.

a = 7.804 Å, b = 16.748 Å, c = 8.758 Å
α = 90.00°, β = 106.66°, γ = 90.00°
Sites, in units of the cell vectors:
1 Sb 0.196 0.019 0.178
2 Sb 0.196 0.481 0.678
3 Sb 0.804 0.519 0.322
4 Sb 0.804 0.981 0.822
5 Pb 0.112 0.734 0.164
6 Pb 0.112 0.766 0.664
7 Pb 0.256 0.027 0.692
8 Pb 0.256 0.473 0.192
9 Pb 0.744 0.527 0.808
10 Pb 0.744 0.973 0.308
11 Pb 0.888 0.234 0.336
12 Pb 0.888 0.266 0.836
13 S 0.038 0.085 0.906
14 S 0.038 0.415 0.406
15 S 0.039 0.076 0.367
16 S 0.039 0.424 0.867
17 S 0.961 0.576 0.133
18 S 0.961 0.924 0.633
19 S 0.962 0.585 0.594
20 S 0.962 0.915 0.094
21 I 0.190 0.241 0.669
22 I 0.190 0.259 0.169
23 I 0.367 0.617 0.967
24 I 0.367 0.883 0.467
25 I 0.398 0.620 0.468
26 I 0.398 0.880 0.968
27 I 0.602 0.120 0.032
28 I 0.602 0.380 0.532
29 I 0.633 0.117 0.533
30 I 0.633 0.383 0.033
31 I 0.810 0.741 0.831
32 I 0.810 0.759 0.331

Summary:
Energy relative to the lowest polymorph listed for this composition = 0.000 eV per atom
Energy = -28.37 eV per formula unit
ΔE_f = -0.764 eV/atom
Energy with MP2020 corrections = -3.814 eV per atom

(3)
The following is a GGA-PBE calculation of a relaxed structure of SbPb2S2I3, from the Materials Project database.

a = 7.744 Å, b = 7.744 Å, c = 16.490 Å
α = 90.00°, β = 90.00°, γ = 146.03°
Sites, in units of the cell vectors:
1 Sb 0.155 0.845 0.500
2 Sb 0.845 0.155 0.000
3 Pb 0.124 0.876 0.045
4 Pb 0.196 0.804 0.778
5 Pb 0.804 0.196 0.278
6 Pb 0.876 0.124 0.545
7 S 0.274 0.726 0.602
8 S 0.277 0.723 0.941
9 S 0.723 0.277 0.441
10 S 0.726 0.274 0.102
11 I 0.154 0.846 0.270
12 I 0.435 0.565 0.392
13 I 0.441 0.559 0.127
14 I 0.559 0.441 0.627
15 I 0.565 0.435 0.892
16 I 0.846 0.154 0.770

Summary:
Energy relative to the lowest polymorph listed for this composition = 0.021 eV per atom
Energy = -28.20 eV per formula unit
ΔE_f = -0.743 eV/atom
Energy with MP2020 corrections = -3.793 eV per atom

(4)
The following is a GGA-PBE calculation of a relaxed structure of ThPbI6, from the Materials Project database.

a = 7.897 Å, b = 7.897 Å, c = 14.284 Å
α = 90.00°, β = 90.00°, γ = 120.00°
Sites, in units of the cell vectors:
1 Th 0.333 0.667 0.250
2 Th 0.667 0.333 0.750
3 Pb 0.000 0.000 0.000
4 Pb 0.000 0.000 0.500
5 I 0.010 0.351 0.374
6 I 0.010 0.660 0.126
7 I 0.340 0.351 0.126
8 I 0.340 0.990 0.374
9 I 0.351 0.010 0.874
10 I 0.351 0.340 0.626
11 I 0.649 0.660 0.374
12 I 0.649 0.990 0.126
13 I 0.660 0.010 0.626
14 I 0.660 0.649 0.874
15 I 0.990 0.340 0.874
16 I 0.990 0.649 0.626

Summary:
Energy relative to the lowest polymorph listed for this composition = 0.000 eV per atom
Energy = -28.19 eV per formula unit
ΔE_f = -1.275 eV/atom
Energy with MP2020 corrections = -3.808 eV per atom

(5)
The following is a GGA-PBE calculation of a relaxed structure of ThPbI6, from the Materials Project database.

a = 10.107 Å, b = 7.780 Å, c = 7.780 Å
α = 33.40°, β = 90.00°, γ = 90.00°
Sites, in units of the cell vectors:
1 Th 0.000 0.000 0.000
2 Pb 0.500 0.474 0.474
3 I 0.000 0.651 0.651
4 I 0.174 0.391 0.391
5 I 0.295 0.087 0.087
6 I 0.500 0.824 0.824
7 I 0.705 0.087 0.087
8 I 0.826 0.391 0.391

Summary:
Energy relative to the lowest polymorph listed for this composition = 0.025 eV per atom
Energy = -27.99 eV per formula unit
ΔE_f = -1.249 eV/atom
Energy with MP2020 corrections = -3.783 eV per atom

(6)
The following is a GGA-PBE calculation of a relaxed structure of Tl6PbI10, from the Materials Project database.

a = 10.890 Å, b = 10.890 Å, c = 13.531 Å
α = 90.00°, β = 90.00°, γ = 120.00°
Sites, in units of the cell vectors:
1 Tl 0.000 0.368 0.000
2 Tl 0.000 0.368 0.500
3 Tl 0.031 0.641 0.251
4 Tl 0.359 0.390 0.251
5 Tl 0.368 0.000 0.000
6 Tl 0.368 0.000 0.500
7 Tl 0.390 0.359 0.751
8 Tl 0.610 0.969 0.251
9 Tl 0.632 0.632 0.000
10 Tl 0.632 0.632 0.500
11 Tl 0.641 0.031 0.751
12 Tl 0.969 0.610 0.751
13 Pb 0.000 0.000 0.378
14 Pb 0.000 0.000 0.878
15 I 0.000 0.256 0.253
16 I 0.000 0.256 0.753
17 I 0.000 0.743 0.000
18 I 0.000 0.743 0.500
19 I 0.256 0.000 0.253
20 I 0.256 0.000 0.753
21 I 0.257 0.257 0.000
22 I 0.257 0.257 0.500
23 I 0.333 0.667 0.103
24 I 0.333 0.667 0.396
25 I 0.333 0.667 0.642
26 I 0.333 0.667 0.859
27 I 0.667 0.333 0.142
28 I 0.667 0.333 0.359
29 I 0.667 0.333 0.603
30 I 0.667 0.333 0.896
31 I 0.743 0.000 0.000
32 I 0.743 0.000 0.500
33 I 0.744 0.744 0.253
34 I 0.744 0.744 0.753

Summary:
Energy = -43.09 eV per formula unit
ΔE_f = -0.809 eV/atom
Energy with MP2020 corrections = -2.758 eV per atom